# Na6Hf4Nb4Si9S3O48 (GGA-PBE, relaxed)
data_Na6Hf4Nb4Si9S3O48
_chemical_formula_sum 'Na18 Hf12 Nb12 Si27 S9 O144'
_space_group_name_H-M_alt 'P 1'
_space_group_IT_number 1
_cell_length_a 18.0216
_cell_length_b 8.9804
_cell_length_c 22.9122
_cell_angle_alpha 90.01
_cell_angle_beta 89.93
_cell_angle_gamma 119.83
loop_
_space_group_symop_operation_xyz
'x,y,z'
loop_
_atom_site_label
_atom_site_fract_x
_atom_site_fract_y
_atom_site_fract_z
O1 0.0135 0.1855 0.9090
O2 0.2519 0.1340 0.6381
O3 0.6832 0.5108 0.0759
O4 0.0904 0.9787 0.9123
O5 0.7397 0.1693 0.2440
O6 0.9901 0.1848 0.3038
O7 0.8254 0.1569 0.4241
O8 0.0758 0.4646 0.2565
O9 0.0597 0.4899 0.8565
O10 0.4161 0.3153 0.2476
O11 0.5842 0.4745 0.2547
O12 0.7524 0.1492 0.9253
O13 0.4100 0.9788 0.4085
O14 0.2546 0.8684 0.3615
O15 0.4852 0.8122 0.0925
O16 0.7454 0.3567 0.4213
O17 0.0852 0.9659 0.1954
O18 0.4088 0.7978 0.3034
O19 0.2358 0.1661 0.5242
O20 0.0944 0.0172 0.3089
O21 0.9809 0.8033 0.0867
O22 0.5747 0.5002 0.5703
O23 0.9179 0.8136 0.5886
O24 0.3248 0.4950 0.9257
O25 0.2706 0.8414 0.4766
O26 0.9272 0.3497 0.9292
O27 0.0607 0.6444 0.3616
O28 0.3529 0.1752 0.7467
O29 0.7597 0.6835 0.2570
O30 0.4265 0.5054 0.4282
O31 0.5816 0.9877 0.9107
O32 0.3151 0.1224 0.1387
O33 0.4883 0.1655 0.3078
O34 0.0854 0.4764 0.9715
O35 0.9341 0.5112 0.4201
O36 0.5953 0.1673 0.0878
O37 0.2641 0.6883 0.9739
O38 0.9400 0.5098 0.1443
O39 0.4086 0.7957 0.5862
O40 0.2365 0.3030 0.7438
O41 0.9359 0.3595 0.6469
O42 0.7531 0.6420 0.8617
O43 0.7503 0.3695 0.1385
O44 0.6557 0.4561 0.4692
O45 0.4175 0.5280 0.0305
O46 0.5943 0.0234 0.3063
O47 0.5810 0.9747 0.1924
O48 0.7363 0.3073 0.0250
O49 0.1787 0.8780 0.8642
O50 0.4162 0.5195 0.7458
O51 0.5107 0.2031 0.9130
O52 0.7483 0.6422 0.5699
O53 0.2397 0.1711 0.2494
O54 0.9231 0.3057 0.2466
O55 0.8963 0.9740 0.6972
O56 0.5593 0.4779 0.8631
O57 0.3945 0.8171 0.1973
O58 0.8978 0.8237 0.1898
O59 0.7711 0.8456 0.7557
O60 0.2479 0.8536 0.0709
O61 0.2690 0.6943 0.2558
O62 0.0130 0.2088 0.1981
O63 0.5730 0.4610 0.9685
O64 0.8158 0.5076 0.6382
O65 0.5136 0.8410 0.4077
O66 0.0727 0.5012 0.5776
O67 0.4076 0.8392 0.9114
O68 0.1773 0.4889 0.3582
O69 0.6502 0.8411 0.9736
O70 0.7716 0.6998 0.9780
O71 0.6790 0.4795 0.3636
O72 0.5910 0.2024 0.4119
O73 0.7399 0.3030 0.7492
O74 0.9881 0.8104 0.8079
O75 0.9850 0.1572 0.5914
O76 0.5156 0.8291 0.6917
O77 0.5736 0.6453 0.0786
O78 0.1452 0.4669 0.7534
O79 0.1484 0.4600 0.4722
O80 0.9174 0.3064 0.5303
O81 0.5600 0.6299 0.3562
O82 0.7366 0.1638 0.5275
O83 0.3423 0.5386 0.5294
O84 0.4173 0.0213 0.0897
O85 0.2554 0.6416 0.5785
O86 0.7456 0.1313 0.6418
O87 0.5864 0.6965 0.4708
O88 0.9123 0.5161 0.0297
O89 0.1552 0.8540 0.9697
O90 0.7567 0.8700 0.0798
O91 0.9102 0.0218 0.8034
O92 0.7662 0.8408 0.4736
O93 0.6465 0.8247 0.2532
O94 0.2449 0.1332 0.9223
O95 0.3255 0.1481 0.4225
O96 0.2521 0.6337 0.8604
O97 0.8556 0.5292 0.2469
O98 0.0955 0.0247 0.5881
O99 0.5915 0.0237 0.5851
O100 0.8256 0.5048 0.9227
O101 0.0921 0.1648 0.8063
O102 0.6531 0.4781 0.7596
O103 0.5839 0.6807 0.7560
O104 0.8482 0.5289 0.5231
O105 0.1791 0.5024 0.0772
O106 0.0846 0.6944 0.7549
O107 0.8226 0.1273 0.1366
O108 0.0734 0.6880 0.4673
O109 0.4887 0.8014 0.8068
O110 0.4334 0.3596 0.9222
O111 0.5865 0.2099 0.6952
O112 0.6785 0.8560 0.5770
O113 0.6792 0.8711 0.8596
O114 0.1484 0.8186 0.2577
O115 0.3218 0.5188 0.6354
O116 0.5953 0.1683 0.8092
O117 0.8513 0.1568 0.7472
O118 0.0749 0.6477 0.0727
O119 0.0066 0.8290 0.6931
O120 0.2455 0.3604 0.1426
O121 0.9078 0.9809 0.4072
O122 0.7521 0.8713 0.3593
O123 0.2361 0.3069 0.0278
O124 0.1829 0.8571 0.5747
O125 0.2520 0.3562 0.4236
O126 0.0117 0.8213 0.4117
O127 0.3497 0.5442 0.2473
O128 0.4357 0.5113 0.1468
O129 0.4133 0.3116 0.5282
O130 0.9160 0.5170 0.7474
O131 0.9196 0.8172 0.3044
O132 0.9095 0.8418 0.9089
O133 0.3964 0.9711 0.6887
O134 0.9099 0.0235 0.0892
O135 0.4186 0.0236 0.8054
O136 0.0816 0.1808 0.4066
O137 0.0791 0.1868 0.6925
O138 0.5065 0.1834 0.1931
O139 0.3480 0.1671 0.0238
O140 0.0911 0.1645 0.0881
O141 0.4801 0.1540 0.5844
O142 0.4403 0.3679 0.6426
O143 0.2602 0.8309 0.7573
O144 0.8444 0.1467 0.0308
Na1 0.5054 0.0019 0.5037
Na2 0.8266 0.3385 0.8316
Na3 0.6656 0.6625 0.6664
Na4 0.1647 0.6744 0.6705
Na5 0.6624 0.6538 0.1684
Na6 0.0019 0.6468 0.2444
Na7 0.1721 0.6809 0.1600
Na8 0.5002 0.6245 0.2478
Na9 0.9998 0.3759 0.7482
Na10 0.3337 0.9747 0.5875
Na11 0.3282 0.3392 0.8297
Na12 0.8323 0.6914 0.0813
Na13 0.8212 0.3133 0.3337
Na14 0.0050 0.0110 0.9988
Na15 0.3290 0.3185 0.3336
Na16 0.5025 0.3642 0.7464
Na17 0.4982 0.9880 0.9966
Na18 0.9975 0.0090 0.5030
Nb1 0.3345 0.3471 0.9858
Nb2 0.8334 0.3202 0.4868
Nb3 0.5044 0.0098 0.3566
Nb4 0.0004 0.9978 0.3557
Nb5 0.0063 0.9970 0.6405
Nb6 0.5062 0.0155 0.1396
Nb7 0.1688 0.6526 0.0223
Nb8 0.0030 0.9980 0.8558
Nb9 0.6681 0.6842 0.5237
Nb10 0.8320 0.3435 0.9734
Nb11 0.4993 0.9855 0.8510
Nb12 0.3327 0.3228 0.4751
Si1 0.9989 0.7092 0.7503
Si2 0.5014 0.7080 0.7473
Si3 0.6904 0.3387 0.0809
Si4 0.6441 0.0037 0.2483
Si5 0.3133 0.6673 0.9160
Si6 0.5226 0.6668 0.4153
Si7 0.4989 0.2876 0.2502
Si8 0.4792 0.3353 0.5829
Si9 0.8329 0.6242 0.5805
Si10 0.6475 0.2915 0.7530
Si11 0.1668 0.3739 0.4161
Si12 0.9797 0.3337 0.5893
Si13 0.0227 0.3776 0.9152
Si14 0.1475 0.0012 0.2521
Si15 0.6852 0.0447 0.5865
Si16 0.6650 0.9614 0.9166
Si17 0.8542 0.7126 0.2489
Si18 0.1871 0.3287 0.0862
Si19 0.8110 0.9595 0.4159
Si20 0.8125 0.6754 0.9180
Si21 0.9789 0.6163 0.0832
Si22 0.3324 0.0413 0.0805
Si23 0.1433 0.2837 0.7484
Si24 0.3145 0.9549 0.4191
Si25 0.4800 0.6248 0.0891
Si26 0.1917 0.0457 0.5821
Si27 0.3548 0.9940 0.7490
Hf1 0.0047 0.9897 0.1450
Hf2 0.6670 0.6753 0.3105
Hf3 0.3294 0.3143 0.1860
Hf4 0.8284 0.3429 0.6863
Hf5 0.8297 0.3409 0.1874
Hf6 0.6705 0.6760 0.8139
Hf7 0.5065 0.0124 0.6488
Hf8 0.6630 0.6711 0.0188
Hf9 0.3342 0.3258 0.6905
Hf10 0.1653 0.6561 0.5211
Hf11 0.1757 0.6765 0.3159
Hf12 0.1681 0.6591 0.8104
S1 0.8334 0.0468 0.0833
S2 0.0198 0.6631 0.4157
S3 0.5192 0.3738 0.9165
S4 0.0007 0.2875 0.2506
S5 0.1692 0.9584 0.9172
S6 0.6695 0.3804 0.4170
S7 0.3572 0.7160 0.2500
S8 0.3334 0.6200 0.5828
S9 0.8577 0.9986 0.7499
# - energy of formation (eV per atom) = -2.99
# - corrected total energy (MP2020 scheme) (eV/atom) = -8.219
# - density (Mg/m³) = 3.6